A plane-wave DFT calculation with PBE was carried out for an optimized crystal structure of BiSe.

```
BiSe
1.0
2.9493 2.9586 0.0000
-2.9493 2.9586 0.0000
0.0000 1.2332 18.0684
Bi Se
2 2
direct
0.7195 0.7195 0.5962 Bi
0.2805 0.2805 0.4038 Bi
0.7593 0.7593 0.4294 Se
0.2407 0.2407 0.5706 Se
```

Properties
* uncorrected energy: -3.742 eV/atom
* formation energy: -0.571 eV/f.u.
* energy relative to the lowest polymorph listed for this composition: 266 meV per atom
* space-group type: C2/m (12)

A plane-wave DFT calculation with PBE was carried out for an optimized crystal structure of Sn2OF2.

```
Sn2OF2
1.0
-3.6084 -3.3060 -6.3804
-0.0857 -7.1193 3.7374
-5.0450 1.2253 2.2183
F Sn O
8 8 4
direct
0.2040 0.2040 0.0000 F
0.7040 0.2960 0.5000 F
0.7960 0.7960 0.0000 F
0.2960 0.7040 0.5000 F
0.7040 0.7040 0.5000 F
0.2960 0.2960 0.5000 F
0.2040 0.7960 0.0000 F
0.7960 0.2040 0.0000 F
0.0000 0.7251 0.3091 Sn
0.7749 0.5000 0.8091 Sn
0.2749 0.0000 0.6909 Sn
0.7251 0.0000 0.6909 Sn
0.5000 0.2251 0.1909 Sn
0.2251 0.5000 0.8091 Sn
0.0000 0.2749 0.3091 Sn
0.5000 0.7749 0.1909 Sn
0.0000 0.5000 0.6017 O
0.5000 0.0000 0.3983 O
0.0000 0.5000 0.1017 O
0.5000 0.0000 0.8983 O
```

Properties
* uncorrected energy: -5.197 eV/atom
* formation energy: -10.800 eV/f.u.
* energy relative to the lowest polymorph listed for this composition: 45 meV per atom
* space-group type: P4_2/nmc (137)